[1]
88
Lattice="9.732 0.000 0.000 0.000 9.813 0.000 0.000 2.276 10.954" Properties=species:S:1:pos:R:3 comment="LiMnP2O7 | the Materials Project | PBE+U | relaxed" mass_density_g_cm3=2.995 total_energy_ev_per_atom=-7.05 corrected_energy_ev_per_cell=-672.44 polymorph_energy_ev_per_atom=0.064 pbc="T T T"
O 8.138 11.015 6.882
O 7.813 2.903 8.789
O 6.671 8.254 5.247
O 4.090 4.905 10.933
O 1.827 9.052 5.844
O 3.266 5.595 8.621
O 7.905 4.145 5.844
O 1.056 1.376 4.667
O 3.061 3.348 5.247
O 5.890 1.370 1.577
O 0.995 7.043 0.033
O 3.174 2.845 7.732
O 7.883 4.295 3.303
O 6.412 6.304 2.842
O 0.678 3.240 7.567
O 0.011 9.813 0.984
O 9.721 4.906 0.984
O 5.645 6.051 6.104
O 6.458 1.083 4.090
O 5.357 4.002 3.369
O 5.655 4.948 8.994
O 4.716 7.171 9.958
O 8.676 6.282 4.667
O 4.375 8.908 3.369
O 4.088 10.958 6.104
O 3.274 5.989 4.090
O 5.016 2.265 9.958
O 3.842 6.276 1.577
O 0.333 4.156 4.492
O 6.931 9.019 2.372
O 1.594 6.108 6.882
O 8.125 7.592 9.746
O 9.399 9.062 4.492
O 9.054 8.147 7.567
O 5.259 3.381 6.481
O 0.749 2.298 1.892
O 5.642 9.811 10.933
O 8.243 1.438 2.427
O 3.267 9.135 1.234
O 1.608 2.686 9.746
O 6.558 7.751 7.732
O 6.466 10.502 8.621
O 8.060 5.739 7.969
O 1.849 9.202 3.303
O 1.919 7.809 8.789
O 0.837 5.612 9.311
O 1.673 10.645 7.969
O 8.895 10.518 9.311
O 8.983 7.205 1.892
O 6.465 4.228 1.234
O 1.489 6.345 2.427
O 8.737 2.136 0.033
O 2.802 4.112 2.372
O 4.077 9.855 8.994
O 3.321 1.398 2.842
O 4.473 8.287 6.481
P 8.667 4.732 4.648
P 5.797 7.550 6.314
P 1.755 2.357 8.282
P 0.347 6.314 1.291
P 2.924 5.689 2.675
P 4.477 5.735 9.661
P 3.224 9.693 2.654
P 7.905 11.198 8.336
P 3.935 2.643 6.314
P 5.255 10.641 9.661
P 9.386 1.407 1.291
P 6.808 0.783 2.675
P 1.065 9.639 4.648
P 7.977 7.263 8.282
P 6.508 4.787 2.654
P 1.828 6.292 8.336
Mn 1.738 2.752 3.522
Mn 4.618 3.045 1.775
Mn 9.490 4.002 9.182
Mn 0.242 8.908 9.182
Mn 5.114 7.952 1.775
Mn 6.625 4.568 7.279
Mn 3.107 9.474 7.279
Mn 7.994 7.659 3.522
Li 8.163 9.459 5.914
Li 1.569 4.552 5.914
Li 4.516 4.905 4.967
Li 3.547 8.522 10.485
Li 8.218 4.098 0.264
Li 6.185 3.615 10.485
Li 5.216 9.811 4.967
Li 1.514 9.005 0.264

---

[2]
28
Lattice="4.401 0.000 0.000 0.000 14.705 0.000 0.000 0.000 4.862" Properties=species:S:1:pos:R:3 comment="LiMnPO4 | the Materials Project | PBE+U | relaxed" mass_density_g_cm3=3.311 total_energy_ev_per_atom=-7.13 corrected_energy_ev_per_cell=-217.20 polymorph_energy_ev_per_atom=0.059 pbc="T T T"
O 1.177 13.900 0.446
O 3.004 2.552 2.625
O 1.023 6.548 0.446
O 0.803 9.904 4.668
O 3.598 9.904 2.625
O 3.004 12.153 0.194
O 0.803 4.801 2.237
O 1.397 2.552 4.668
O 1.177 0.805 2.877
O 3.598 4.801 0.194
O 3.378 6.548 1.985
O 3.224 13.900 1.985
O 1.397 12.153 2.237
O 3.378 8.157 4.416
O 1.023 8.157 2.877
O 3.224 0.805 4.416
Mn 0.000 1.035 1.215
Mn 2.201 8.388 1.215
Mn 4.401 13.669 3.646
Mn 2.200 6.317 3.646
P 2.200 13.027 1.215
P 0.000 5.674 1.215
P 2.200 1.678 3.646
P 0.000 9.031 3.646
Li 0.000 3.654 3.646
Li 0.000 11.051 1.215
Li 2.200 3.698 1.215
Li 2.200 11.006 3.646

---

| no. | V (Å³ per atom) | energy of formation from the pure elements (eV per atom) | total magnetization (μB per formula unit) |
| --- | --- | --- | --- |
| 1 | 11.9 | -2.5020 | 4.00 |
| 2 | 11.2 | -2.5747 | 0.00 |